The following is a DFT calculation (GGA-PBE) of Mn3Ga4Ni9 after structural relaxation.

Cell lengths 5.7697, 5.7697, 5.7697 Å; angles 90.00, 90.00, 90.00 degrees
Sites, in units of the cell vectors:
Mn: 0.0000 0.0000 0.5000
Mn: 0.0000 0.5000 0.0000
Mn: 0.5000 0.0000 0.0000
Ga: 0.0000 0.0000 0.0000
Ga: 0.0000 0.5000 0.5000
Ga: 0.5000 0.0000 0.5000
Ga: 0.5000 0.5000 0.0000
Ni: 0.2515 0.2515 0.2515
Ni: 0.2515 0.2515 0.7485
Ni: 0.2515 0.7485 0.2515
Ni: 0.2515 0.7485 0.7485
Ni: 0.5000 0.5000 0.5000
Ni: 0.7485 0.2515 0.2515
Ni: 0.7485 0.2515 0.7485
Ni: 0.7485 0.7485 0.2515
Ni: 0.7485 0.7485 0.7485

Properties
Its formation energy from the elements is -0.28 eV/atom. The value obtained for the excess energy over the best structure of this formula in the dataset is 9 kJ/mol of formula units. The total magnetization comes out at 13.4 μB/f.u.